NbZn3Ga3 | PBE | relaxed

Unit cell a=5.643 b=5.643 c=5.643 alpha=58.08 beta=58.08 gamma=58.08
Element x y z (fractional)
Zn (0.000, 0.000, 0.500)
Nb (0.000, 0.000, 0.000)
Zn (0.000, 0.500, 0.000)
Ga (0.500, 0.500, 0.000)
Ga (0.500, 0.000, 0.500)
Ga (0.000, 0.500, 0.500)
Zn (0.500, 0.000, 0.000)

Summary:
Density in g/cm3: 6.8
Energy of formation in eV per formula unit: -1.3